No. 1
YAl: optimized geometry, PBE.

Summary:
The total DFT energy (no corrections) is -0.20289 Ha/atom. For the formation enthalpy at 0 K, the calculation gives -415 meV/atom.

Lattice parameters (Å, degrees): 3.606 3.606 3.606 90.00 90.00 90.00
Element x y z (fractional)
Y: 0.000 0.000 0.000
Al: 0.500 0.500 0.500


No. 2
HfZrFe4: optimized geometry, PBE.

Summary:
The total DFT energy (no corrections) is -0.32728 Ha/atom. For the formation enthalpy at 0 K, the calculation gives -175 meV/atom.

Lattice parameters (Å, degrees): 4.959 4.959 4.959 60.00 60.00 60.00
Element x y z (fractional)
Hf: 0.000 0.000 0.000
Zr: 0.250 0.250 0.250
Fe: 0.124 0.625 0.625
Fe: 0.625 0.124 0.625
Fe: 0.625 0.625 0.124
Fe: 0.625 0.625 0.625


No. 3
SrCa3Ru4O12: optimized geometry, PBE.

Summary:
The total DFT energy (no corrections) is -0.25753 Ha/atom. The magnetization is 0.4000 μB per atom. The MP2020-corrected energy is -7.4199 eV per atom. For the formation enthalpy at 0 K, the calculation gives -2211 meV/atom.

Lattice parameters (Å, degrees): 5.473 7.793 5.610 90.00 90.08 90.00
Element x y z (fractional)
Sr: 0.000 0.000 0.000
Ca: 0.021 0.500 0.097
Ca: 0.499 0.500 0.595
Ca: 0.522 0.000 0.494
Ru: 0.009 0.252 0.544
Ru: 0.009 0.748 0.544
Ru: 0.510 0.253 0.044
Ru: 0.510 0.747 0.044
O: 0.102 0.000 0.555
O: 0.209 0.300 0.840
O: 0.209 0.700 0.840
O: 0.308 0.300 0.340
O: 0.308 0.700 0.340
O: 0.442 0.000 0.072
O: 0.602 0.500 0.016
O: 0.705 0.206 0.743
O: 0.705 0.794 0.743
O: 0.802 0.212 0.256
O: 0.802 0.788 0.256
O: 0.918 0.500 0.519